# Mo3WSe4S4, optimized geometry, DFT PBE
# * energy relative to the lowest polymorph listed for this composition: 0.000 eV per atom
# * magnetic moment: 0.0 μB/f.u.
# * volume: 28.337 Å³/atom
# * corrected total energy (MP2020 scheme): -7.247 eV per atom
data_Mo3WSe4S4
_cell_length_a 3.2534
_cell_length_b 3.2534
_cell_length_c 37.0979
_cell_angle_alpha 90.00
_cell_angle_beta 90.00
_cell_angle_gamma 120.00
_symmetry_space_group_name_H-M 'P 3 m 1'
_symmetry_Int_Tables_number 156
loop_
_symmetry_equiv_pos_as_xyz
'x,y,z'
'-y,x-y,z'
'-x+y,-x,z'
'-y,-x,z'
'-x+y,y,z'
'x,x-y,z'
loop_
_atom_site_label
_atom_site_type_symbol
_atom_site_fract_x
_atom_site_fract_y
_atom_site_fract_z
Mo1 Mo 0.0000 0.0000 0.0000
Mo2 Mo 0.0000 0.0000 0.3757
Mo3 Mo 0.3333 0.6667 0.1879
W1 W 0.3333 0.6667 0.5636
Se1 Se 0.3333 0.6667 0.0458
Se2 Se 0.3333 0.6667 0.3300
Se3 Se 0.3333 0.6667 0.4215
Se4 Se 0.3333 0.6667 0.9542
S1 S 0.0000 0.0000 0.1462
S2 S 0.0000 0.0000 0.2295
S3 S 0.0000 0.0000 0.5218
S4 S 0.0000 0.0000 0.6054

# Co2C3N6, optimized geometry, DFT PBE
# * energy relative to the lowest polymorph listed for this composition: 0.000 eV per atom
# * magnetic moment: 0.0 μB/f.u.
# * volume: 10.015 Å³/atom
# * corrected total energy (MP2020 scheme): -8.274 eV per atom
data_Co2C3N6
_cell_length_a 5.2775
_cell_length_b 5.2775
_cell_length_c 27.4023
_cell_angle_alpha 90.00
_cell_angle_beta 90.00
_cell_angle_gamma 120.00
_symmetry_space_group_name_H-M 'R -3 c'
_symmetry_Int_Tables_number 167
_symmetry_space_group_name_Hall '-R 3 2"c'
loop_
_atom_site_label
_atom_site_type_symbol
_atom_site_fract_x
_atom_site_fract_y
_atom_site_fract_z
Co1 Co 0.0000 0.0000 0.1649
C1 C 0.0000 0.3215 0.2500
N1 N 0.0037 0.3798 0.5389

# MgSn3P4O14, optimized geometry, DFT PBE
# * magnetic moment: 0.0 μB/f.u.
# * volume: 14.218 Å³/atom
# * corrected total energy (MP2020 scheme): -7.185 eV per atom
data_MgSn3P4O14
_cell_length_a 8.0609
_cell_length_b 7.8993
_cell_length_c 10.2086
_cell_angle_alpha 90.00
_cell_angle_beta 105.76
_cell_angle_gamma 90.00
_symmetry_space_group_name_H-M 'P 1 21/c 1'
_symmetry_Int_Tables_number 14
loop_
_symmetry_equiv_pos_as_xyz
'x,y,z'
'-x,-y,-z'
'-x,y+1/2,-z+1/2'
'x,-y+1/2,z+1/2'
loop_
_atom_site_label
_atom_site_type_symbol
_atom_site_fract_x
_atom_site_fract_y
_atom_site_fract_z
Mg1 Mg 0.0000 0.0000 0.0000
Sn1 Sn 0.3035 0.1406 0.4806
Sn2 Sn 0.5000 0.0000 0.0000
P1 P 0.0587 0.0586 0.7003
P2 P 0.3128 0.7043 0.1716
O1 O 0.1080 0.0652 0.8562
O2 O 0.1246 0.6217 0.1581
O3 O 0.1356 0.5508 0.8623
O4 O 0.1480 0.1981 0.6378
O5 O 0.2636 0.6266 0.5958
O6 O 0.4085 0.5803 0.0973
O7 O 0.4136 0.7135 0.3202

# PrCdAu, optimized geometry, DFT PBE
# * volume: 24.960 Å³/atom
data_PrCdAu
_cell_length_a 8.0052
_cell_length_b 8.0052
_cell_length_c 4.0477
_cell_angle_alpha 90.00
_cell_angle_beta 90.00
_cell_angle_gamma 120.00
_symmetry_space_group_name_H-M 'P -6 2 m'
_symmetry_Int_Tables_number 189
_symmetry_space_group_name_Hall 'P -6 -2'
loop_
_atom_site_label
_atom_site_type_symbol
_atom_site_fract_x
_atom_site_fract_y
_atom_site_fract_z
Pr1 Pr 0.0000 0.5915 0.0000
Cd1 Cd 0.0000 0.2555 0.5000
Au1 Au 0.0000 0.0000 0.0000
Au2 Au 0.3333 0.6667 0.5000

# U, optimized geometry, DFT PBE
# * energy relative to the lowest polymorph listed for this composition: 0.385 eV per atom
# * magnetic moment: 0.0 μB/f.u.
# * volume: 20.148 Å³/atom
data_U
_cell_length_a 2.8661
_cell_length_b 2.8661
_cell_length_c 2.8320
_cell_angle_alpha 90.00
_cell_angle_beta 90.00
_cell_angle_gamma 120.00
_symmetry_space_group_name_H-M 'P 6/m m m'
_symmetry_Int_Tables_number 191
_symmetry_space_group_name_Hall '-P 6 2'
loop_
_atom_site_label
_atom_site_type_symbol
_atom_site_fract_x
_atom_site_fract_y
_atom_site_fract_z
U1 U 0.0000 0.0000 0.0000

# HoAgSe2, optimized geometry, DFT PBE
# * volume: 25.069 Å³/atom
# * corrected total energy (MP2020 scheme): -5.041 eV per atom
# * piezoelectric modulus e_max: 0.2 C/m²
data_HoAgSe2
_cell_length_a 4.2646
_cell_length_b 6.8236
_cell_length_c 13.7835
_cell_angle_alpha 90.00
_cell_angle_beta 90.00
_cell_angle_gamma 90.00
_symmetry_space_group_name_H-M 'P 21 21 21'
_symmetry_Int_Tables_number 19
loop_
_symmetry_equiv_pos_as_xyz
'x,y,z'
'-x+1/2,-y,z+1/2'
'x+1/2,-y+1/2,-z'
'-x,y+1/2,-z+1/2'
loop_
_atom_site_label
_atom_site_type_symbol
_atom_site_fract_x
_atom_site_fract_y
_atom_site_fract_z
Ho1 Ho 0.2205 0.2064 0.1274
Ag1 Ag 0.0074 0.7068 0.1272
Se1 Se 0.2228 0.0884 0.7743
Se2 Se 0.2283 0.4896 0.9733

Final energy? In order: -85.0; -533.1; -296.9; -32.7; -10.9; -76.9 eV/cell.
Energy relative to the elements? In order: -10.940; 0.911; -53.511; -1.919; 0.385; -5.757 eV/f.u..